# Ho2AlFe3 (meta-GGA r2SCAN, optimized geometry)
# SG: No. 166
# DFT formation energy: -0.11 eV per atom
data_Ho2AlFe3
_cell_length_a 5.2755
_cell_length_b 5.2755
_cell_length_c 5.2755
_cell_angle_alpha 59.61
_cell_angle_beta 59.61
_cell_angle_gamma 59.61
_symmetry_space_group_name_H-M 'P 1'
_symmetry_Int_Tables_number 1
_symmetry_space_group_name_Hall 'P 1'
loop_
_atom_site_label
_atom_site_fract_x
_atom_site_fract_y
_atom_site_fract_z
Ho1 0.1223 0.1223 0.1223
Ho2 0.8777 0.8777 0.8777
Al1 0.5000 0.5000 0.5000
Fe1 0.0000 0.5000 0.5000
Fe2 0.5000 0.0000 0.5000
Fe3 0.5000 0.5000 0.0000